Record 1
## Li4MnCo2O7 (PBE+U)

Data for a relaxed Li4MnCo2O7 crystal.

abc: 3.0325 6.3870 13.5742
angles: 83.96 88.99 76.63
Last column: nearest neighbours and their distance in Å.
Element x y z (fractional)
Li  0.0000  0.0000  0.0000  6 O 2.07-2.24
Li  0.0000  0.5000  0.5000  4 O 2.02-2.05
Li  0.1392  0.4306  0.2865  6 O 2.02-2.22
Li  0.2877  0.8544  0.5695  6 O 2.02-2.26
Li  0.4314  0.2829  0.8561  6 O 2.04-2.24
Li  0.5686  0.7171  0.1439  6 O 2.04-2.24
Li  0.7123  0.1456  0.4305  6 O 2.02-2.26
Li  0.8608  0.5694  0.7135  6 O 2.02-2.22
Mn  0.2859  0.3543  0.0735  4 O 1.94-1.98
Mn  0.7141  0.6457  0.9265  4 O 1.94-1.98
Co  0.1412  0.9329  0.7835  4 O 1.88-1.94
Co  0.4320  0.7744  0.3633  3 O 1.74-1.94
Co  0.5680  0.2256  0.6367  3 O 1.74-1.94
Co  0.8588  0.0671  0.2165  4 O 1.88-1.94
O  0.0104  0.7671  0.2557  2 Co 1.88-1.97, 1 Li 2.09
O  0.1254  0.6673  0.0345  2 Mn 1.96-1.98, 2 Li 2.07-2.12
O  0.1580  0.1803  0.5445  1 Co 1.87, 2 Li 2.02
O  0.2771  0.0814  0.3190  2 Co 1.92-1.94
O  0.2952  0.6249  0.8209  1 Co 1.93, 1 Mn 1.97, 2 Li 2.09-2.13
O  0.4359  0.5066  0.6129  1 Co 1.74
O  0.4474  0.0448  0.1125  1 Co 1.94, 1 Mn 1.94, 2 Li 2.04-2.14
O  0.5526  0.9552  0.8875  1 Co 1.94, 1 Mn 1.94, 2 Li 2.04-2.14
O  0.5641  0.4934  0.3871  1 Co 1.74
O  0.7048  0.3751  0.1791  1 Co 1.93, 1 Mn 1.97, 2 Li 2.09-2.13
O  0.7229  0.9186  0.6810  2 Co 1.92-1.94
O  0.8420  0.8197  0.4555  1 Co 1.87, 2 Li 2.02
O  0.8746  0.3327  0.9655  2 Mn 1.96-1.98, 2 Li 2.07-2.12
O  0.9896  0.2329  0.7443  2 Co 1.88-1.97, 1 Li 2.09

Distance to the lowest polymorph of the same formula in eV per formula unit: 1.19

=====

Record 2
## Li4MnCo2O7 (PBE+U)

Data for a relaxed Li4MnCo2O7 crystal.

abc: 2.9919 5.1183 17.2105
angles: 85.26 88.62 75.37
Last column: nearest neighbours and their distance in Å.
Element x y z (fractional)
Li  0.0000  0.0000  0.0000  5 O 1.99-2.15
Li  0.0204  0.9862  0.4962  6 O 2.07-2.24
Li  0.1470  0.7133  0.7829  5 O 2.05-2.18
Li  0.3077  0.4015  0.0693  6 O 2.08-2.19
Li  0.4469  0.1266  0.3540  6 O 2.09-2.22
Li  0.5917  0.8359  0.6383  6 O 2.08-2.20
Li  0.7623  0.5432  0.9351  5 O 2.01-2.23
Li  0.8704  0.2674  0.2114  5 O 2.00-2.20
Mn  0.4542  0.1266  0.8611  4 O 1.82-2.02
Mn  0.8859  0.2661  0.7106  4 O 1.95-2.00
Co  0.1594  0.6996  0.2819  5 O 1.90-2.09
Co  0.2968  0.4126  0.5677  4 O 1.91-1.96
Co  0.5849  0.8450  0.1359  2 O 1.74-1.88
Co  0.7295  0.5532  0.4250  6 O 1.92-2.12
O  0.0563  0.8834  0.8876  2 Mn 1.95, 2 Li 2.05-2.06
O  0.1026  0.8257  0.3862  3 Co 1.95-2.12, 2 Li 2.09-2.11
O  0.2126  0.5401  0.6724  1 Co 1.96, 1 Mn 1.97, 3 Li 2.14-2.15
O  0.2550  0.5745  0.1805  2 Co 1.90-1.99
O  0.3539  0.2893  0.4656  3 Co 1.91-2.11, 1 Li 2.07
O  0.3732  0.2731  0.9550  1 Mn 1.82, 2 Li 2.01-2.02
O  0.5385  0.9605  0.2419  3 Co 1.95-2.09, 2 Li 2.09-2.16
O  0.5518  0.9978  0.7512  2 Mn 1.97-2.04, 3 Li 2.05-2.16
O  0.6317  0.6767  0.5302  2 Co 1.94-1.96, 2 Li 2.08-2.15
O  0.6598  0.7024  0.0469  1 Co 1.74
O  0.7943  0.4253  0.3227  2 Co 1.92-2.06, 2 Li 2.09-2.12
O  0.8463  0.3758  0.8198  3 Mn 2.00-2.04, 2 Li 2.18-2.21
O  0.9313  0.0993  0.1097  2 Co 1.88-2.09, 2 Li 1.99-2.00
O  0.9676  0.1462  0.6054  1 Co 1.94, 1 Mn 1.95, 1 Li 2.10

Distance to the lowest polymorph of the same formula in eV per formula unit: 0.78

=====

Record 3
## Li4Mn3CoO8 (PBE+U)

Data for a relaxed Li4Mn3CoO8 crystal.

abc: 5.0647 5.1533 6.1639
angles: 102.75 93.83 101.59
Last column: nearest neighbours and their distance in Å.
Element x y z (fractional)
Li  0.2375  0.0042  0.3787  6 O 2.07-2.32
Li  0.2579  0.9880  0.8593  5 O 2.08-2.15
Li  0.7421  0.0120  0.1407  5 O 2.08-2.15
Li  0.7625  0.9958  0.6213  6 O 2.07-2.32
Mn  0.0000  0.5000  0.0000  4 O 1.95-1.98
Mn  0.4996  0.4916  0.7480  4 O 1.92-1.99
Mn  0.5004  0.5084  0.2520  4 O 1.92-1.99
Co  0.0000  0.5000  0.5000  4 O 1.92-2.07
O  0.1293  0.2844  0.1978  2 Mn 1.96-1.98, 2 Li 2.13-2.14, 1 Co 2.16
O  0.1424  0.2577  0.6860  1 Mn 1.92, 1 Co 2.07, 2 Li 2.07-2.08
O  0.3615  0.7252  0.5703  1 Co 1.92, 1 Mn 1.99, 1 Li 2.15
O  0.3644  0.7328  0.0681  2 Mn 1.95-1.97, 2 Li 2.10-2.15
O  0.6356  0.2672  0.9319  2 Mn 1.95-1.97, 2 Li 2.10-2.15
O  0.6385  0.2748  0.4297  1 Co 1.92, 1 Mn 1.99, 1 Li 2.15
O  0.8576  0.7423  0.3140  1 Mn 1.92, 1 Co 2.07, 2 Li 2.07-2.08
O  0.8707  0.7156  0.8022  2 Mn 1.96-1.98, 2 Li 2.13-2.14, 1 Co 2.16

Distance to the lowest polymorph of the same formula in eV per formula unit: 0.05

=====

Record 4
## Li7Mn4CoO12 (PBE+U)

Data for a relaxed Li7Mn4CoO12 crystal.

abc: 7.9963 7.9963 11.8344
angles: 124.08 124.08 20.98
Last column: nearest neighbours and their distance in Å.
Element x y z (fractional)
Li  0.0000  0.0000  0.0000  3 O 1.94-2.07
Li  0.0071  0.0071  0.7754  6 O 2.07-2.21
Li  0.0159  0.0159  0.5372  2 O 1.96
Li  0.3309  0.3309  0.0052  4 O 1.98-2.17
Li  0.3674  0.3674  0.5515  3 O 1.96-2.13
Li  0.6481  0.6481  0.9880  3 O 2.02-2.08
Li  0.6795  0.6795  0.5402  4 O 2.02-2.14
Mn  0.0071  0.0071  0.2726  6 O 1.95-1.96
Mn  0.3429  0.3429  0.2775  4 O 1.97-1.99
Mn  0.3431  0.3431  0.7731  6 O 1.87-1.99
Mn  0.6692  0.6692  0.2646  4 O 1.96-1.99
Co  0.6582  0.6582  0.7664  3 O 1.82-2.01
O  0.1575  0.1575  0.3697  3 Mn 1.95-1.99
O  0.1708  0.1708  0.1548  2 Mn 1.96
O  0.1778  0.1778  0.8963  4 Li 1.98-2.21, 2 Co 2.01
O  0.1894  0.1894  0.6660  1 Mn 1.99, 2 Li 2.02, 2 Co 2.11
O  0.4882  0.4882  0.8832  1 Mn 1.87, 5 Li 1.94-2.08
O  0.4974  0.4974  0.1567  2 Mn 1.95, 1 Li 2.17
O  0.5161  0.5161  0.3896  2 Mn 1.96, 1 Li 2.14
O  0.5180  0.5180  0.6499  1 Co 1.82, 3 Li 1.96
O  0.8379  0.8379  0.6572  2 Mn 1.97, 4 Li 2.05-2.19
O  0.8398  0.8398  0.8822  2 Mn 1.97, 3 Li 2.07-2.12
O  0.8418  0.8418  0.3882  2 Mn 1.97
O  0.8569  0.8569  0.1744  3 Mn 1.95-1.99

Distance to the lowest polymorph of the same formula in eV per formula unit: 1.39

=====

Record 5
## Li2Mn2CoO6 (PBE+U)

Data for a relaxed Li2Mn2CoO6 crystal.

abc: 6.0010 6.0329 6.5689
angles: 76.85 74.77 88.41
Last column: nearest neighbours and their distance in Å.
Element x y z (fractional)
Li  0.0000  0.0000  0.0000  6 O 2.13-2.23
Li  0.0000  0.5000  0.0000  6 O 2.15-2.22
Li  0.3485  0.3228  0.6555  6 O 2.10-2.31
Li  0.6515  0.6772  0.3445  6 O 2.10-2.31
Mn  0.1660  0.6680  0.3335  6 O 1.90-1.99
Mn  0.1751  0.1675  0.3336  4 O 1.94-2.04
Mn  0.8249  0.8325  0.6664  4 O 1.94-2.04
Mn  0.8340  0.3320  0.6665  6 O 1.90-1.99
Co  0.5000  0.0000  0.0000  6 O 1.98-2.11
Co  0.5000  0.5000  0.0000  6 O 1.95-2.09
O  0.0514  0.5736  0.6545  3 Mn 1.96-2.04, 1 Li 2.15
O  0.0727  0.1118  0.6470  2 Mn 1.93-1.94, 1 Li 2.14
O  0.2522  0.7467  0.0260  1 Mn 1.90, 2 Co 2.08-2.11
O  0.2614  0.2446  0.0190  1 Mn 1.94, 2 Co 2.03-2.09
O  0.3826  0.9042  0.3191  2 Mn 1.93-1.99, 1 Co 1.98, 1 Li 2.10
O  0.4048  0.4484  0.3159  1 Mn 1.92, 1 Co 1.95, 2 Li 2.12
O  0.5952  0.5516  0.6841  1 Mn 1.92, 1 Co 1.95, 2 Li 2.12
O  0.6174  0.0958  0.6809  2 Mn 1.93-1.99, 1 Co 1.98, 1 Li 2.10
O  0.7386  0.7554  0.9810  1 Mn 1.94, 2 Co 2.03-2.09
O  0.7478  0.2533  0.9740  1 Mn 1.90, 2 Co 2.08-2.11
O  0.9273  0.8882  0.3530  2 Mn 1.93-1.94, 1 Li 2.14
O  0.9486  0.4264  0.3455  3 Mn 1.96-2.04, 1 Li 2.15

=====

Record 6
## Li5Mn2CoO8 (PBE+U)

Data for a relaxed Li5Mn2CoO8 crystal.

abc: 2.8959 9.7805 10.1974
angles: 79.42 89.03 89.06
Last column: nearest neighbours and their distance in Å.
Element x y z (fractional)
Li  0.0000  0.0000  0.0000  6 O 2.07-2.14
Li  0.0005  0.2437  0.6289  6 O 2.03-2.23
Li  0.0070  0.7455  0.8906  4 O 2.00-2.24
Li  0.4858  0.7544  0.1094  5 O 2.01-2.24
Li  0.4940  0.2561  0.3705  6 O 2.03-2.24
Li  0.5000  0.5000  0.0000  6 O 2.07-2.13
Li  0.5060  0.7439  0.6295  6 O 2.03-2.24
Li  0.5142  0.2456  0.8906  5 O 2.01-2.24
Li  0.9930  0.2545  0.1094  4 O 2.00-2.24
Li  0.9995  0.7563  0.3711  6 O 2.03-2.23
Mn  0.0076  0.4912  0.7605  5 O 1.81-1.99
Mn  0.4960  0.0086  0.2396  5 O 1.81-1.99
Mn  0.5040  0.9914  0.7604  5 O 1.81-1.99
Mn  0.9924  0.5088  0.2395  5 O 1.81-1.99
Co  0.0000  0.0000  0.5000  6 O 1.94-2.06
Co  0.5000  0.5000  0.5000  6 O 1.94-2.07
O  0.0034  0.8948  0.1961  2 Mn 1.92-1.93, 2 Li 2.03-2.07
O  0.0059  0.3782  0.9225  1 Mn 1.81, 2 Li 2.01
O  0.0132  0.8852  0.6905  2 Mn 1.99, 1 Co 2.06, 2 Li 2.13-2.21
O  0.0219  0.6109  0.5670  2 Co 1.94-2.07, 1 Mn 2.10, 2 Li 2.11-2.13
O  0.4809  0.8893  0.4330  2 Co 1.94-2.06, 1 Mn 2.10, 2 Li 2.10-2.13
O  0.4828  0.6146  0.3096  2 Mn 1.99, 1 Co 2.06, 1 Li 2.12
O  0.4979  0.3948  0.1960  2 Mn 1.92-1.94, 2 Li 2.03-2.07
O  0.4993  0.1217  0.0775  1 Mn 1.81, 2 Li 2.00-2.02
O  0.5007  0.8783  0.9225  1 Mn 1.81, 2 Li 2.00-2.02
O  0.5021  0.6052  0.8040  2 Mn 1.92-1.94, 2 Li 2.03-2.07
O  0.5172  0.3854  0.6904  2 Mn 1.99, 1 Co 2.06, 1 Li 2.12
O  0.5191  0.1107  0.5670  2 Co 1.94-2.06, 1 Mn 2.10, 2 Li 2.10-2.13
O  0.9781  0.3891  0.4330  2 Co 1.94-2.07, 1 Mn 2.10, 2 Li 2.11-2.13
O  0.9868  0.1148  0.3095  2 Mn 1.99, 1 Co 2.06, 2 Li 2.13-2.21
O  0.9941  0.6218  0.0775  1 Mn 1.81, 2 Li 2.01
O  0.9966  0.1052  0.8039  2 Mn 1.92-1.93, 2 Li 2.03-2.07

Distance to the lowest polymorph of the same formula in eV per formula unit: 0.40

=====

| no. | energy relative to the elements (eV per atom) |
| --- | --- |
| 1 | -1.80 |
| 2 | -1.83 |
| 3 | -2.03 |
| 4 | -2.03 |
| 5 | -1.88 |
| 6 | -2.01 |